# EuGaCu, relaxed, DFT meta-GGA r2SCAN
data_EuGaCu
_chemical_formula_sum 'Eu4 Ga4 Cu4'
_cell_length_a 10.1994
_cell_length_b 4.4950
_cell_length_c 7.3981
_cell_angle_alpha 90.00
_cell_angle_beta 133.25
_cell_angle_gamma 90.00
_symmetry_space_group_name_H-M 'C 1 2/m 1'
_symmetry_Int_Tables_number 12
loop_
_symmetry_equiv_pos_as_xyz
'x,y,z'
'-x,-y,-z'
'-x,y,-z'
'x,-y,z'
'x+1/2,y+1/2,z'
'-x+1/2,-y+1/2,-z'
'-x+1/2,y+1/2,-z'
'x+1/2,-y+1/2,z'
loop_
_atom_site_label
_atom_site_type_symbol
_atom_site_fract_x
_atom_site_fract_y
_atom_site_fract_z
Eu1 Eu 0.2455 0.0000 0.1892
Ga1 Ga 0.0673 0.0000 0.3986
Cu1 Cu 0.0699 0.5000 0.2342
# ΔE_f = -0.37 eV per atom
# uncorrected energy = -20.638 eV/atom

# EuCu2Ge2, relaxed, DFT meta-GGA r2SCAN
data_EuCu2Ge2
_chemical_formula_sum 'Eu2 Cu4 Ge4'
_cell_length_a 4.1673
_cell_length_b 4.1673
_cell_length_c 10.1762
_cell_angle_alpha 90.00
_cell_angle_beta 90.00
_cell_angle_gamma 90.00
_symmetry_space_group_name_H-M 'I 4/m m m'
_symmetry_Int_Tables_number 139
_symmetry_space_group_name_Hall '-I 4 2'
loop_
_atom_site_label
_atom_site_type_symbol
_atom_site_fract_x
_atom_site_fract_y
_atom_site_fract_z
Eu1 Eu 0.0000 0.0000 0.0000
Cu1 Cu 0.0000 0.5000 0.2500
Ge1 Ge 0.0000 0.0000 0.3759
# ΔE_f = -0.48 eV per atom
# uncorrected energy = -18.069 eV/atom

# Eu2CuIr, relaxed, DFT meta-GGA r2SCAN
data_Eu2CuIr
_chemical_formula_sum 'Eu8 Cu4 Ir4'
_cell_length_a 7.0606
_cell_length_b 7.0606
_cell_length_c 7.0606
_cell_angle_alpha 90.00
_cell_angle_beta 90.00
_cell_angle_gamma 90.00
_symmetry_space_group_name_H-M 'F m -3 m'
_symmetry_Int_Tables_number 225
_symmetry_space_group_name_Hall '-F 4 2 3'
loop_
_atom_site_label
_atom_site_type_symbol
_atom_site_fract_x
_atom_site_fract_y
_atom_site_fract_z
Eu1 Eu 0.2500 0.2500 0.2500
Cu1 Cu 0.0000 0.0000 0.0000
Ir1 Ir 0.0000 0.0000 0.5000
# ΔE_f = -0.26 eV per atom
# uncorrected energy = -35.318 eV/atom

# Eu2CuO4, relaxed, DFT meta-GGA r2SCAN
data_Eu2CuO4
_chemical_formula_sum 'Eu4 Cu2 O8'
_cell_length_a 3.8889
_cell_length_b 3.8889
_cell_length_c 12.0100
_cell_angle_alpha 90.00
_cell_angle_beta 90.00
_cell_angle_gamma 90.00
_symmetry_space_group_name_H-M 'I 4/m m m'
_symmetry_Int_Tables_number 139
_symmetry_space_group_name_Hall '-I 4 2'
loop_
_atom_site_label
_atom_site_type_symbol
_atom_site_fract_x
_atom_site_fract_y
_atom_site_fract_z
Eu1 Eu 0.0000 0.0000 0.1478
Cu1 Cu 0.0000 0.0000 0.5000
O1 O 0.0000 0.5000 0.0000
O2 O 0.0000 0.5000 0.2500
# ΔE_f = -2.42 eV per atom
# uncorrected energy = -18.384 eV/atom

# EuCu2Sb2, relaxed, DFT meta-GGA r2SCAN
data_EuCu2Sb2
_chemical_formula_sum 'Eu2 Cu4 Sb4'
_cell_length_a 4.5324
_cell_length_b 4.5324
_cell_length_c 10.6408
_cell_angle_alpha 90.00
_cell_angle_beta 90.00
_cell_angle_gamma 90.00
_symmetry_space_group_name_H-M 'P 4/n m m'
_symmetry_Int_Tables_number 129
loop_
_symmetry_equiv_pos_as_xyz
'x,y,z'
'-x,-y,-z'
'-y+1/2,x,z'
'y+1/2,-x,-z'
'-x+1/2,-y+1/2,z'
'x+1/2,y+1/2,-z'
'y,-x+1/2,z'
'-y,x+1/2,-z'
'x+1/2,-y,-z'
'-x+1/2,y,z'
'-y,-x,-z'
'y,x,z'
'-x,y+1/2,-z'
'x,-y+1/2,z'
'y+1/2,x+1/2,-z'
'-y+1/2,-x+1/2,z'
loop_
_atom_site_label
_atom_site_type_symbol
_atom_site_fract_x
_atom_site_fract_y
_atom_site_fract_z
Eu1 Eu 0.2500 0.2500 0.2371
Cu1 Cu 0.2500 0.2500 0.6327
Cu2 Cu 0.2500 0.7500 0.0000
Sb1 Sb 0.2500 0.2500 0.8703
Sb2 Sb 0.2500 0.7500 0.5000
# ΔE_f = -0.51 eV per atom
# uncorrected energy = -22.839 eV/atom

# EuCuSb, relaxed, DFT meta-GGA r2SCAN
data_EuCuSb
_chemical_formula_sum 'Eu2 Cu2 Sb2'
_cell_length_a 4.4738
_cell_length_b 4.4738
_cell_length_c 8.5702
_cell_angle_alpha 90.00
_cell_angle_beta 90.00
_cell_angle_gamma 120.00
_symmetry_space_group_name_H-M 'P 63/m m c'
_symmetry_Int_Tables_number 194
_symmetry_space_group_name_Hall '-P 6c 2c'
loop_
_atom_site_label
_atom_site_type_symbol
_atom_site_fract_x
_atom_site_fract_y
_atom_site_fract_z
Eu1 Eu 0.0000 0.0000 0.0000
Cu1 Cu 0.3333 0.6667 0.2500
Sb1 Sb 0.3333 0.6667 0.7500
# ΔE_f = -0.83 eV per atom
# uncorrected energy = -25.860 eV/atom

# EuCu2Si2, relaxed, DFT meta-GGA r2SCAN
data_EuCu2Si2
_chemical_formula_sum 'Eu2 Cu4 Si4'
_cell_length_a 4.0857
_cell_length_b 4.0857
_cell_length_c 9.8755
_cell_angle_alpha 90.00
_cell_angle_beta 90.00
_cell_angle_gamma 90.00
_symmetry_space_group_name_H-M 'I 4/m m m'
_symmetry_Int_Tables_number 139
_symmetry_space_group_name_Hall '-I 4 2'
loop_
_atom_site_label
_atom_site_type_symbol
_atom_site_fract_x
_atom_site_fract_y
_atom_site_fract_z
Eu1 Eu 0.0000 0.0000 0.0000
Cu1 Cu 0.0000 0.5000 0.2500
Si1 Si 0.0000 0.0000 0.3785
# ΔE_f = -0.49 eV per atom
# uncorrected energy = -16.041 eV/atom

# Eu2CuTe4, relaxed, DFT meta-GGA r2SCAN
data_Eu2CuTe4
_chemical_formula_sum 'Eu2 Cu1 Te4'
_cell_length_a 4.4799
_cell_length_b 4.4799
_cell_length_c 9.9856
_cell_angle_alpha 90.00
_cell_angle_beta 90.00
_cell_angle_gamma 90.00
_symmetry_space_group_name_H-M 'P -4 m 2'
_symmetry_Int_Tables_number 115
loop_
_symmetry_equiv_pos_as_xyz
'x,y,z'
'y,-x,-z'
'-x,-y,z'
'-y,x,-z'
'-x,y,z'
'-y,-x,-z'
'x,-y,z'
'y,x,-z'
loop_
_atom_site_label
_atom_site_type_symbol
_atom_site_fract_x
_atom_site_fract_y
_atom_site_fract_z
Eu1 Eu 0.0000 0.5000 0.2388
Cu1 Cu 0.0000 0.0000 0.0000
Te1 Te 0.0000 0.0000 0.5000
Te2 Te 0.0000 0.5000 0.8610
Te3 Te 0.5000 0.5000 0.5000
# ΔE_f = -1.16 eV per atom
# uncorrected energy = -28.244 eV/atom